# 1
28
Lattice="-1.159 -4.810 -3.809 5.869 0.531 -2.456 3.142 -5.721 6.269" Properties=species:S:1:pos:R:3 comment="LiVF5 | the Materials Project database | PBE+U | relaxed" formation_enthalpy_0k_ev_per_atom=-3.02 volume_a3_per_atom=12.88 sg="Pna2_1, No. 33" pbc="T T T"
V 3.819 -5.348 -0.334
V -0.072 -0.412 -0.267
V 1.102 -4.917 1.565
V 4.993 -9.853 1.497
F 4.610 -6.143 4.586
F -0.403 -1.842 -1.369
F 2.861 -4.025 0.864
F 6.110 -3.571 -2.327
F 6.994 -6.156 3.895
F 0.824 -1.493 0.962
F 5.664 -5.914 -1.142
F 3.470 -6.745 -1.473
F 5.240 -4.053 0.160
F 1.932 -6.008 0.129
F 8.228 -4.158 2.609
F 2.246 -5.605 -3.702
F 1.967 -6.126 2.693
F 4.364 -6.191 1.233
F 3.915 -3.796 -4.864
F 4.577 -8.729 0.068
F 0.178 -3.905 -3.606
F 1.453 -3.519 2.702
F 5.326 -8.423 2.599
F 3.433 -4.096 -1.663
Li 3.784 -6.920 2.916
Li 2.692 -2.073 1.354
Li 5.500 -7.895 -1.493
Li 4.408 -3.048 -3.054

=====

# 2
28
Lattice="6.769 0.000 0.000 0.000 7.314 0.000 0.000 0.116 7.631" Properties=species:S:1:pos:R:3 comment="LiVF5 | the Materials Project database | PBE+U | relaxed" formation_enthalpy_0k_ev_per_atom=-3.09 volume_a3_per_atom=13.49 sg="P2_1/c, No. 14" pbc="T T T"
F 3.634 1.854 6.504
F 1.993 3.783 6.684
F 4.622 5.570 6.542
F 5.085 7.290 0.798
F 2.147 1.859 1.088
F 0.250 5.633 4.942
F 3.368 5.383 4.248
F 5.068 7.348 4.613
F 6.753 2.105 7.198
F 5.377 3.705 4.762
F 0.016 5.325 0.433
F 3.134 5.575 1.126
F 1.392 3.725 2.869
F 5.532 5.512 2.727
F 6.519 1.796 2.689
F 1.684 0.140 6.833
F 1.237 1.917 4.903
F 1.701 0.082 3.018
F 4.776 3.647 0.946
F 3.401 2.047 3.383
Li 5.018 1.841 0.283
Li 5.135 1.899 4.098
Li 1.634 5.530 3.532
Li 1.750 5.588 7.348
V 5.175 5.522 4.650
V 4.979 5.464 0.835
V 1.594 1.908 2.980
V 1.790 1.966 6.795

=====

# 3
22
Lattice="3.070 -0.445 -4.541 4.961 2.332 -0.444 5.782 -8.469 3.073" Properties=species:S:1:pos:R:3 comment="Li4VF6 | the Materials Project database | PBE+U | relaxed" formation_enthalpy_0k_ev_per_atom=-2.94 volume_a3_per_atom=12.29 sg="Cc, No. 9" pbc="T T T"
F 8.074 -6.856 -1.604
F 8.249 -0.507 -2.356
F 5.187 -3.158 0.438
F 10.528 -5.640 -2.143
F 7.696 -7.953 1.148
F 5.213 1.779 -0.464
F 6.367 -5.007 -2.692
F 4.953 0.136 -2.598
F 7.965 -3.920 -0.798
F 5.754 -5.782 0.292
F 3.399 -0.759 -0.082
F 6.577 -0.574 -0.120
Li 6.116 -4.343 -0.883
Li 8.408 -4.140 1.043
Li 9.767 -7.648 -1.816
Li 8.252 -1.392 -0.372
Li 5.036 -1.283 0.685
Li 6.746 -7.252 -0.337
Li 3.779 0.706 -1.218
Li 4.349 -1.621 -3.025
V 6.720 0.825 -1.628
V 8.490 -5.057 -2.522

=====

# 4
72
Lattice="-2.572 4.783 -1.599 1.709 -2.935 -11.526 -10.591 -5.732 -0.111" Properties=species:S:1:pos:R:3 comment="Li3VF5 | the Materials Project database | PBE+U | relaxed" formation_enthalpy_0k_ev_per_atom=-3.02 volume_a3_per_atom=11.38 sg="Pbca, No. 61" pbc="T T T"
Li -3.977 -0.633 -0.898
Li -8.363 -1.314 -9.662
Li -3.863 2.516 -1.683
Li -2.908 0.863 -7.384
Li -8.772 -4.623 -8.880
Li -8.152 -1.828 -3.237
Li -2.893 1.253 -10.782
Li -8.432 -1.597 -6.637
Li -0.146 -1.536 -11.122
Li -0.551 -0.904 -5.080
Li -3.022 -2.286 -6.599
Li -8.561 -5.137 -2.455
Li -5.441 -0.463 -5.917
Li -2.682 0.739 -4.356
Li -3.302 -2.056 -10.000
Li -10.903 -2.979 -8.157
Li -5.036 -1.095 -11.959
Li -11.308 -2.347 -2.115
Li -3.091 -2.570 -3.575
Li -6.013 -3.421 -7.320
Li -7.591 -6.400 -11.554
Li -8.546 -4.747 -5.853
Li -6.419 -2.788 -1.277
Li -7.477 -3.250 -12.339
F -1.978 -0.419 -0.417
F -7.851 -1.637 -11.490
F -3.988 -0.211 -10.548
F -9.973 -1.942 -3.501
F -9.452 -2.789 -9.471
F -9.647 -3.270 -6.631
F -7.631 -2.169 -5.058
F -6.945 -4.520 -8.659
F -8.531 -5.744 -4.281
F -2.111 2.256 -6.247
F -6.481 -4.644 -5.811
F -6.812 -1.681 -7.749
F -4.643 -2.202 -5.488
F -5.143 0.956 -1.237
F -6.311 -4.839 -12.000
F -6.975 0.518 -5.085
F -1.807 -0.614 -6.606
F -10.546 -4.024 -1.443
F -0.548 0.910 -4.232
F -3.603 -2.246 -1.747
F -2.924 1.860 -8.955
F -4.973 0.761 -7.425
F -5.396 -2.296 -10.398
F -4.509 0.636 -4.578
F -0.908 0.141 -11.794
F -9.477 -3.465 -12.819
F -2.002 -1.095 -3.765
F -6.058 -1.588 -2.839
F -1.482 -1.942 -9.736
F 1.031 -1.905 -9.545
F -12.485 -1.979 -3.692
F -9.343 -6.140 -6.989
F -7.466 -3.673 -2.688
F -4.479 -4.402 -8.152
F -10.906 -4.793 -9.005
F -3.823 -1.715 -8.179
F -8.014 0.434 -2.202
F -2.703 1.328 -2.524
F -8.751 -5.212 -10.713
F -3.440 -4.317 -11.034
V -6.094 0.500 -3.117
V -10.408 -4.028 -10.959
V -6.056 -3.212 -4.258
V -5.360 -4.384 -10.120
V -1.046 0.145 -2.278
V -0.350 -1.028 -8.139
V -5.398 -0.672 -8.978
V -11.104 -2.856 -5.097